Material: Pt3Rh
Method: DFT, PBE-GGA
State: relaxed

Properties
DFT formation energy, eV per atom: -0.001
Raw total energy, eV/atom: -6.396
Symmetry: No. 221

```
Pt3Rh
1.0
3.947 0.000 0.000
0.000 3.947 0.000
0.000 0.000 3.947
Pt Rh
3 1
direct
0.500 0.000 0.000
0.000 0.000 0.500
0.000 0.500 0.000
0.500 0.500 0.500
```



Material: BaO2
Method: DFT, PBE-GGA
State: relaxed

Properties
Total magnetic moment, μB/atom: 0.67
DFT formation energy, eV per atom: -1.752
Raw total energy, eV/atom: -5.232
Symmetry: No. 14

```
BaO2
1.0
5.825 0.000 0.000
0.000 7.684 0.000
-5.760 0.000 9.522
Ba O
8 16
direct
0.612 0.557 0.862
0.862 0.112 0.112
0.138 0.888 0.888
0.388 0.057 0.638
0.138 0.612 0.388
0.862 0.388 0.612
0.388 0.443 0.138
0.612 0.943 0.362
0.366 0.400 0.614
0.127 0.977 0.368
0.656 0.761 0.609
0.656 0.739 0.109
0.366 0.100 0.114
0.943 0.232 0.393
0.127 0.523 0.868
0.634 0.900 0.886
0.344 0.239 0.391
0.943 0.268 0.893
0.634 0.600 0.386
0.057 0.732 0.107
0.873 0.477 0.132
0.873 0.023 0.632
0.344 0.261 0.891
0.057 0.768 0.607
```



Material: KTi2P3O12
Method: DFT, PBE-GGA
State: relaxed

Properties
Total magnetic moment, μB/atom: 0.00
DFT formation energy, eV per atom: -3.034
ΔE to the lowest computed polymorph, kJ/mol of formula units: 0
Raw total energy, eV/atom: -7.716
Symmetry: No. 167

```
KTi2P3O12
1.0
8.163 -4.247 0.000
8.163 4.247 0.000
5.953 0.000 7.017
P O Ti K
6 24 4 2
direct
0.032 0.750 0.468
0.968 0.250 0.532
0.532 0.968 0.250
0.468 0.032 0.750
0.250 0.532 0.968
0.750 0.468 0.032
0.751 0.489 0.852
0.352 0.989 0.251
0.430 0.568 0.797
0.797 0.430 0.568
0.511 0.148 0.249
0.148 0.249 0.511
0.648 0.011 0.749
0.852 0.751 0.489
0.251 0.352 0.989
0.203 0.570 0.432
0.070 0.703 0.932
0.749 0.648 0.011
0.249 0.511 0.148
0.930 0.297 0.068
0.568 0.797 0.430
0.489 0.852 0.751
0.297 0.068 0.930
0.570 0.432 0.203
0.068 0.930 0.297
0.011 0.749 0.648
0.989 0.251 0.352
0.432 0.203 0.570
0.932 0.070 0.703
0.703 0.932 0.070
0.150 0.150 0.150
0.650 0.650 0.650
0.350 0.350 0.350
0.850 0.850 0.850
0.000 0.000 0.000
0.500 0.500 0.500
```



Material: CeMg6C
Method: DFT, PBE-GGA
State: relaxed

Properties
Total magnetic moment, μB/atom: 0.01
DFT formation energy, eV per atom: 0.226
ΔE to the lowest computed polymorph, kJ/mol of formula units: 0
Raw total energy, eV/atom: -2.869
Symmetry: No. 38

```
CeMg6C
1.0
3.878 -5.463 0.000
3.878 5.463 0.000
0.000 0.000 4.634
C Mg Ce
1 6 1
direct
0.393 0.607 0.000
0.786 0.214 0.500
0.264 0.124 0.500
0.876 0.736 0.500
0.082 0.340 0.000
0.594 0.406 0.000
0.660 0.918 0.000
0.344 0.656 0.500
```